# 1
# PBE Mg5Si6, relaxed
data_Mg5Si6
_chemical_formula_sum 'Mg10 Si12'
_cell_length_a 7.392
_cell_length_b 4.323
_cell_length_c 12.647
_cell_angle_alpha 90.00
_cell_angle_beta 96.14
_cell_angle_gamma 90.00
_symmetry_space_group_name_H-M 'P 1 m 1'
_symmetry_Int_Tables_number 6
loop_
_symmetry_equiv_pos_as_xyz
'x,y,z'
'x,-y,z'
loop_
_atom_site_label
_atom_site_fract_x
_atom_site_fract_y
_atom_site_fract_z
_atom_site_occupancy
Mg1 0.000 0.000 0.000 1
Mg2 0.008 0.000 0.490 1
Mg3 0.042 0.000 0.747 1
Mg4 0.251 0.000 0.269 1
Mg5 0.390 0.000 0.623 1
Mg6 0.408 0.000 0.911 1
Mg7 0.573 0.000 0.430 1
Mg8 0.685 0.500 0.049 1
Mg9 0.744 0.500 0.626 1
Mg10 0.824 0.000 0.240 1
Si1 0.029 0.500 0.151 1
Si2 0.069 0.500 0.342 1
Si3 0.142 0.500 0.621 1
Si4 0.166 0.500 0.888 1
Si5 0.309 0.500 0.071 1
Si6 0.334 0.500 0.468 1
Si7 0.402 0.500 0.763 1
Si8 0.486 0.000 0.127 1
Si9 0.538 0.500 0.258 1
Si10 0.675 0.000 0.781 1
Si11 0.784 0.500 0.407 1
Si12 0.832 0.500 0.856 1
# Total magnetic moment = 0.0 μB/f.u.
# VASP energy = -79.06 eV/cell



# 2
# PBE Mg4Si3, relaxed
data_Mg4Si3
_chemical_formula_sum 'Mg8 Si6'
_cell_length_a 5.564
_cell_length_b 6.416
_cell_length_c 7.883
_cell_angle_alpha 72.04
_cell_angle_beta 81.95
_cell_angle_gamma 81.17
_symmetry_space_group_name_H-M 'P 1'
_symmetry_Int_Tables_number 1
loop_
_symmetry_equiv_pos_as_xyz
'x,y,z'
loop_
_atom_site_label
_atom_site_fract_x
_atom_site_fract_y
_atom_site_fract_z
_atom_site_occupancy
Mg1 0.000 0.000 0.000 1
Mg2 0.063 0.189 0.296 1
Mg3 0.144 0.538 0.916 1
Mg4 0.402 0.654 0.525 1
Mg5 0.534 0.171 0.418 1
Mg6 0.625 0.818 0.800 1
Mg7 0.708 0.613 0.204 1
Mg8 0.899 0.361 0.637 1
Si1 0.138 0.954 0.662 1
Si2 0.189 0.614 0.251 1
Si3 0.416 0.235 0.771 1
Si4 0.464 0.027 0.096 1
Si5 0.676 0.367 0.982 1
Si6 0.883 0.795 0.449 1
# Total magnetic moment = 0.0 μB/f.u.
# VASP energy = -44.84 eV/cell



# 3
# PBE Mg5Si6, relaxed
data_Mg5Si6
_chemical_formula_sum 'Mg10 Si12'
_cell_length_a 5.064
_cell_length_b 5.698
_cell_length_c 14.310
_cell_angle_alpha 90.00
_cell_angle_beta 87.28
_cell_angle_gamma 79.94
_symmetry_space_group_name_H-M 'P 1'
_symmetry_Int_Tables_number 1
loop_
_symmetry_equiv_pos_as_xyz
'x,y,z'
loop_
_atom_site_label
_atom_site_fract_x
_atom_site_fract_y
_atom_site_fract_z
_atom_site_occupancy
Mg1 0.000 0.000 0.000 1
Mg2 0.054 0.500 0.114 1
Mg3 0.124 0.513 0.899 1
Mg4 0.275 0.281 0.296 1
Mg5 0.367 0.727 0.629 1
Mg6 0.488 0.810 0.163 1
Mg7 0.658 0.327 0.824 1
Mg8 0.752 0.134 0.612 1
Mg9 0.812 0.097 0.390 1
Mg10 0.906 0.600 0.497 1
Si1 0.048 0.932 0.791 1
Si2 0.213 0.274 0.723 1
Si3 0.262 0.054 0.487 1
Si4 0.368 0.746 0.360 1
Si5 0.440 0.424 0.475 1
Si6 0.466 0.168 0.992 1
Si7 0.550 0.854 0.811 1
Si8 0.587 0.716 0.973 1
Si9 0.611 0.296 0.141 1
Si10 0.869 0.668 0.308 1
Si11 0.876 0.633 0.693 1
Si12 0.958 0.986 0.202 1
# Total magnetic moment = 0.0 μB/f.u.
# VASP energy = -78.92 eV/cell



# 4
# PBE Mg4Si7, relaxed
data_Mg4Si7
_chemical_formula_sum 'Mg8 Si14'
_cell_length_a 6.859
_cell_length_b 3.951
_cell_length_c 14.937
_cell_angle_alpha 90.00
_cell_angle_beta 102.48
_cell_angle_gamma 90.00
_symmetry_space_group_name_H-M 'P 1 m 1'
_symmetry_Int_Tables_number 6
loop_
_symmetry_equiv_pos_as_xyz
'x,y,z'
'x,-y,z'
loop_
_atom_site_label
_atom_site_fract_x
_atom_site_fract_y
_atom_site_fract_z
_atom_site_occupancy
Mg1 0.000 0.000 0.000 1
Mg2 0.039 0.000 0.764 1
Mg3 0.089 0.500 0.190 1
Mg4 0.480 0.000 0.922 1
Mg5 0.528 0.000 0.696 1
Mg6 0.593 0.500 0.272 1
Mg7 0.658 0.000 0.442 1
Mg8 0.760 0.500 0.847 1
Si1 0.000 0.000 0.567 1
Si2 0.154 0.500 0.899 1
Si3 0.190 0.500 0.630 1
Si4 0.268 0.000 0.471 1
Si5 0.317 0.000 0.302 1
Si6 0.361 0.500 0.788 1
Si7 0.363 0.500 0.046 1
Si8 0.370 0.000 0.143 1
Si9 0.468 0.500 0.546 1
Si10 0.725 0.500 0.042 1
Si11 0.746 0.000 0.148 1
Si12 0.787 0.500 0.654 1
Si13 0.957 0.500 0.410 1
Si14 0.958 0.000 0.304 1
# Total magnetic moment = 0.0 μB/f.u.
# VASP energy = -85.90 eV/cell



Which value of VASP energy does entry 4 give? -85.90 eV/cell



Which value of VASP energy does entry 4 give? -85.90 eV/cell



Which formula does entry 2 have? Mg4Si3